1.
# Li2FeSi3O8 | the Materials Project | GGA+U | relaxed
data_Li2FeSi3O8
_symmetry_space_group_name_H-M 'P 1 21 1'
_symmetry_Int_Tables_number 4
_cell_length_a 7.813
_cell_length_b 8.313
_cell_length_c 10.925
_cell_angle_alpha 90.00
_cell_angle_beta 93.48
_cell_angle_gamma 90.00
loop_
_symmetry_equiv_pos_as_xyz
'x,y,z'
'-x,y+1/2,-z'
loop_
_atom_site_label
_atom_site_type_symbol
_atom_site_fract_x
_atom_site_fract_y
_atom_site_fract_z
Li1 Li 0.034 0.000 0.296
Li2 Li 0.067 0.507 0.003
Li3 Li 0.432 0.006 0.496
Li4 Li 0.466 0.500 0.204
Fe1 Fe 0.203 0.324 0.323
Fe2 Fe 0.297 0.824 0.177
Si1 Si 0.150 0.143 0.584
Si2 Si 0.227 0.795 0.683
Si3 Si 0.245 0.664 0.431
Si4 Si 0.255 0.164 0.069
Si5 Si 0.272 0.295 0.818
Si6 Si 0.349 0.643 0.916
O1 O 0.036 0.735 0.698
O2 O 0.049 0.592 0.448
O3 O 0.144 0.019 0.126
O4 O 0.146 0.285 0.690
O5 O 0.175 0.195 0.925
O6 O 0.238 0.685 0.030
O7 O 0.242 0.834 0.357
O8 O 0.250 0.486 0.853
O9 O 0.250 0.986 0.648
O10 O 0.259 0.334 0.143
O11 O 0.262 0.185 0.470
O12 O 0.325 0.695 0.575
O13 O 0.353 0.785 0.810
O14 O 0.357 0.519 0.375
O15 O 0.451 0.092 0.052
O16 O 0.463 0.235 0.802
# - Excess energy over the best structure of this formula in the dataset: 0.000 eV/atom
# - Crystal system: monoclinic
# - Size of the total moment: 4.0 μB per formula unit
# - Calculated volume: 708.3 Å³/cell
# - Formation energy: -2.807 eV per atom
# - Total DFT energy (no corrections): -398.8 eV/cell

2.
# LiFeSiO4 | the Materials Project | GGA+U | relaxed
data_LiFeSiO4
_symmetry_space_group_name_H-M 'P 63'
_symmetry_Int_Tables_number 173
_cell_length_a 8.7822
_cell_length_b 8.7822
_cell_length_c 8.3009
_cell_angle_alpha 90.00
_cell_angle_beta 90.00
_cell_angle_gamma 120.00
loop_
_symmetry_equiv_pos_as_xyz
'x,y,z'
'x-y,x,z+1/2'
'-y,x-y,z'
'-x,-y,z+1/2'
'-x+y,-x,z'
'y,-x+y,z+1/2'
loop_
_atom_site_label
_atom_site_type_symbol
_atom_site_fract_x
_atom_site_fract_y
_atom_site_fract_z
Li1 Li 0.0000 0.0000 0.0000
Li2 Li 0.3333 0.6667 0.1691
Li3 Li 0.3333 0.6667 0.7349
Fe1 Fe 0.0446 0.6867 0.4479
Si1 Si 0.0398 0.6838 0.0659
O1 O 0.0984 0.5588 0.9674
O2 O 0.1122 0.8732 0.9716
O3 O 0.1432 0.7245 0.2402
O4 O 0.1762 0.4170 0.5886
# - Excess energy over the best structure of this formula in the dataset: 0.054 eV/atom
# - Crystal system: hexagonal
# - Size of the total moment: 5.0 μB per formula unit
# - Calculated volume: 554.5 Å³/cell
# - Formation energy: -2.482 eV per atom
# - Total DFT energy (no corrections): -287.8 eV/cell

- Which of these has the lowest calculated volume?
  LiFeSiO4

- Among the records above, which one has the highest formation energy?
  LiFeSiO4